Density functional theory data (PBE) for a relaxed RbHoP4O12 crystal.

Computed properties:
**Volume**: 988.5 Å³/cell
**E (MP2020)**: -7.73 eV/atom
**Crystal system**: monoclinic

Geometry as CIF:
```
data_RbHoP4O12
_chemical_formula_sum 'Rb4 Ho4 P16 O48'
_space_group_name_H-M_alt 'P 1 21/c 1'
_space_group_IT_number 14
_cell_length_a 10.387
_cell_length_b 8.957
_cell_length_c 12.879
_cell_angle_alpha 90.00
_cell_angle_beta 124.41
_cell_angle_gamma 90.00
loop_
_space_group_symop_operation_xyz
'x,y,z'
'-x,-y,-z'
'-x,y+1/2,-z+1/2'
'x,-y+1/2,z+1/2'
loop_
_atom_site_label
_atom_site_type_symbol
_atom_site_fract_x
_atom_site_fract_y
_atom_site_fract_z
Rb1 Rb 0.233 0.066 0.042
Ho1 Ho 0.317 0.727 0.818
P1 P 0.025 0.025 0.279
P2 P 0.198 0.610 0.023
P3 P 0.325 0.171 0.366
P4 P 0.389 0.092 0.742
O1 O 0.038 0.548 0.900
O2 O 0.072 0.586 0.717
O3 O 0.133 0.594 0.302
O4 O 0.155 0.157 0.343
O5 O 0.163 0.712 0.097
O6 O 0.266 0.048 0.596
O7 O 0.279 0.209 0.755
O8 O 0.298 0.667 0.982
O9 O 0.368 0.028 0.333
O10 O 0.424 0.541 0.324
O11 O 0.430 0.243 0.492
O12 O 0.479 0.677 0.746
```



Density functional theory data (PBE) for a relaxed KCN crystal.

Computed properties:
**Volume**: 279.9 Å³/cell
**E (MP2020)**: -6.61 eV/atom
**Crystal system**: monoclinic

Geometry as CIF:
```
data_KCN
_chemical_formula_sum 'K4 C4 N4'
_space_group_name_H-M_alt 'C 1 c 1'
_space_group_IT_number 9
_cell_length_a 7.659
_cell_length_b 4.702
_cell_length_c 8.220
_cell_angle_alpha 90.00
_cell_angle_beta 108.95
_cell_angle_gamma 90.00
loop_
_space_group_symop_operation_xyz
'x,y,z'
'x,-y,z+1/2'
'x+1/2,y+1/2,z'
'x+1/2,-y+1/2,z+1/2'
loop_
_atom_site_label
_atom_site_type_symbol
_atom_site_fract_x
_atom_site_fract_y
_atom_site_fract_z
K1 K 0.000 0.194 0.000
C1 C 0.232 0.343 0.710
N1 N 0.272 0.157 0.811
```



Density functional theory data (PBE) for a relaxed RbH6C2S2NO4 crystal.

Computed properties:
**Volume**: 835.2 Å³/cell
**E (MP2020)**: -5.59 eV/atom
**Crystal system**: monoclinic

Geometry as CIF:
```
data_RbH6C2S2NO4
_chemical_formula_sum 'Rb4 H24 C8 S8 N4 O16'
_space_group_name_H-M_alt 'P 1 21/c 1'
_space_group_IT_number 14
_cell_length_a 7.976
_cell_length_b 8.739
_cell_length_c 12.542
_cell_angle_alpha 90.00
_cell_angle_beta 107.16
_cell_angle_gamma 90.00
loop_
_space_group_symop_operation_xyz
'x,y,z'
'-x,-y,-z'
'-x,y+1/2,-z+1/2'
'x,-y+1/2,z+1/2'
loop_
_atom_site_label
_atom_site_type_symbol
_atom_site_fract_x
_atom_site_fract_y
_atom_site_fract_z
Rb1 Rb 0.074 0.029 0.291
H1 H 0.235 0.023 0.021
H2 H 0.268 0.206 0.589
H3 H 0.352 0.602 0.453
H4 H 0.411 0.595 0.604
H5 H 0.441 0.151 0.530
H6 H 0.492 0.207 0.675
C1 C 0.304 0.587 0.526
C2 C 0.396 0.151 0.604
S1 S 0.145 0.732 0.522
S2 S 0.378 0.541 0.145
N1 N 0.238 0.605 0.032
O1 O 0.021 0.728 0.409
O2 O 0.068 0.698 0.612
O3 O 0.311 0.540 0.242
O4 O 0.450 0.114 0.335
```